(1)
Compound: K2MgH8S2O12
Source: Materials Project
Functional: PBE
Structure: optimized geometry

Unit cell a=7.6861 b=7.6861 c=10.0407 alpha=85.90 beta=85.90 gamma=78.78
Atoms (fractional coordinates):
K1 0.0957 0.5644 0.2494
K2 0.5707 0.0951 0.2469
K3 0.9049 0.4293 0.7531
K4 0.4356 0.9043 0.7506
Mg1 0.0000 0.0000 0.0000
Mg2 0.5006 0.4994 0.5000
H1 0.2194 0.6668 0.9619
H2 0.6668 0.2197 0.9615
H3 0.7803 0.3332 0.0385
H4 0.3332 0.7806 0.0381
H5 0.0551 0.0508 0.7269
H6 0.9492 0.9449 0.2731
H7 0.9241 0.9165 0.7422
H8 0.0835 0.0759 0.2578
H9 0.2859 0.5466 0.7272
H10 0.5466 0.2842 0.7273
H11 0.7158 0.4534 0.2727
H12 0.4534 0.7141 0.2728
H13 0.1863 0.6569 0.6080
H14 0.6573 0.1864 0.6071
H15 0.8136 0.3427 0.3929
H16 0.3431 0.8137 0.3920
S1 0.7955 0.7899 0.5272
S2 0.2101 0.2045 0.4728
S3 0.2950 0.2950 0.9541
S4 0.7050 0.7050 0.0459
O1 0.8288 0.8289 0.0589
O2 0.1711 0.1712 0.9411
O3 0.9837 0.9886 0.7938
O4 0.0114 0.0163 0.2062
O5 0.3072 0.6144 0.6411
O6 0.6151 0.3062 0.6417
O7 0.6938 0.3849 0.3583
O8 0.3856 0.6928 0.3589
O9 0.3355 0.3296 0.4393
O10 0.6704 0.6645 0.5607
O11 0.2167 0.7833 0.0000
O12 0.7831 0.2169 0.0000
O13 0.2193 0.4706 0.8840
O14 0.4708 0.2192 0.8844
O15 0.7808 0.5292 0.1156
O16 0.5294 0.7807 0.1160
O17 0.3189 0.3191 0.0952
O18 0.6809 0.6811 0.9048
O19 0.9638 0.7178 0.5947
O20 0.7150 0.9643 0.5818
O21 0.0357 0.2850 0.4182
O22 0.2822 0.0362 0.4053
O23 0.8300 0.8091 0.3793
O24 0.1909 0.1700 0.6207

Results
Space-group type = No. 5

---

(2)
Compound: K2MgH8S2O12
Source: Materials Project
Functional: PBE
Structure: optimized geometry

Unit cell a=8.0665 b=8.0665 c=9.8050 alpha=94.71 beta=94.71 gamma=85.47
Atoms (fractional coordinates):
K1 0.0995 0.5402 0.2958
K2 0.5334 0.1169 0.2943
K3 0.8831 0.4666 0.7057
K4 0.4598 0.9005 0.7042
Mg1 0.0035 0.9965 0.0000
Mg2 0.5041 0.4959 0.0000
H1 0.1908 0.6940 0.9512
H2 0.7174 0.1928 0.9336
H3 0.8072 0.2826 0.0664
H4 0.3060 0.8092 0.0488
H5 0.1420 0.6879 0.6323
H6 0.6966 0.1417 0.6306
H7 0.8583 0.3034 0.3694
H8 0.3121 0.8580 0.3677
H9 0.9396 0.9312 0.2560
H10 0.0688 0.0604 0.7440
H11 0.9531 0.9116 0.7190
H12 0.0884 0.0469 0.2810
H13 0.2838 0.5419 0.6306
H14 0.5433 0.2731 0.6305
H15 0.7269 0.4567 0.3695
H16 0.4581 0.7162 0.3694
S1 0.7872 0.7898 0.4763
S2 0.2102 0.2128 0.5237
S3 0.2961 0.3023 0.0079
S4 0.6977 0.7039 0.9921
O1 0.2487 0.6492 0.6793
O2 0.6489 0.2403 0.6840
O3 0.7597 0.3511 0.3160
O4 0.3508 0.7513 0.3207
O5 0.8251 0.8205 0.9872
O6 0.1795 0.1749 0.0128
O7 0.3527 0.3784 0.1487
O8 0.6216 0.6473 0.8513
O9 0.1952 0.8048 0.0000
O10 0.8145 0.1855 0.0000
O11 0.9882 0.0003 0.7897
O12 0.9997 0.0118 0.2103
O13 0.2304 0.4479 0.9279
O14 0.4567 0.2381 0.9467
O15 0.7619 0.5433 0.0533
O16 0.5521 0.7696 0.0721
O17 0.3471 0.3288 0.5280
O18 0.6712 0.6529 0.4720
O19 0.8614 0.7882 0.3423
O20 0.2118 0.1386 0.6577
O21 0.9234 0.7604 0.5885
O22 0.6925 0.9524 0.5089
O23 0.0476 0.3075 0.4911
O24 0.2396 0.0766 0.4115

Results
Total magnetic moment = 0.000 μB per atom
Space-group type = No. 5

---

Energies relative to the most stable structure are (1) 0; (2) 81, reported in meV/atom.

---

(1)
Compound: K2HS2NO6
Source: Materials Project
Functional: PBE
Structure: optimized geometry

Unit cell a=7.4528 b=7.4528 c=7.2782 alpha=89.98 beta=89.98 gamma=62.50
Atoms (fractional coordinates):
K1 0.2910 0.0178 0.1416
K2 0.9822 0.7090 0.3584
K3 0.7090 0.9822 0.8584
K4 0.0178 0.2910 0.6416
H1 0.4528 0.5472 0.2500
H2 0.5472 0.4528 0.7500
S1 0.7777 0.4218 0.1377
S2 0.5782 0.2223 0.3623
S3 0.2223 0.5782 0.8623
S4 0.4218 0.7777 0.6377
N1 0.5844 0.4156 0.2500
N2 0.4156 0.5844 0.7500
O1 0.8267 0.2877 0.9769
O2 0.7123 0.1733 0.5231
O3 0.1733 0.7123 0.0231
O4 0.2877 0.8267 0.4769
O5 0.6968 0.6362 0.0923
O6 0.3638 0.3032 0.4077
O7 0.3032 0.3638 0.9077
O8 0.6362 0.6968 0.5923
O9 0.9476 0.3477 0.2679
O10 0.6523 0.0524 0.2321
O11 0.0524 0.6523 0.7321
O12 0.3477 0.9476 0.7679

Results
Total magnetic moment = 0.000 μB per atom
Space-group type = No. 15

---

(2)
Compound: K2HS2NO6
Source: Materials Project
Functional: PBE
Structure: optimized geometry

Unit cell a=7.3203 b=7.3925 c=12.6346 alpha=89.53 beta=90.00 gamma=90.00
Atoms (fractional coordinates):
K1 0.6642 0.8733 0.3578
K2 0.6692 0.6346 0.6460
K3 0.3308 0.1346 0.6460
K4 0.3358 0.3733 0.3578
H1 0.9723 0.6728 0.4744
H2 0.0277 0.1728 0.4744
S1 0.1812 0.8562 0.3964
S2 0.1880 0.6395 0.6035
S3 0.8120 0.1395 0.6035
S4 0.8188 0.3562 0.3964
N1 0.0826 0.7473 0.5000
N2 0.9174 0.2473 0.5000
O1 0.2670 0.0201 0.4411
O2 0.2892 0.4823 0.5620
O3 0.7108 0.9823 0.5620
O4 0.7330 0.5201 0.4411
O5 0.3196 0.7383 0.3482
O6 0.3139 0.7726 0.6482
O7 0.6861 0.2726 0.6482
O8 0.6804 0.2383 0.3482
O9 0.0247 0.8964 0.3295
O10 0.0333 0.5907 0.6698
O11 0.9667 0.0907 0.6698
O12 0.9753 0.3964 0.3295

Results
Total magnetic moment = 0.000 μB per atom
Space-group type = No. 7

---

(3)
Compound: K2HS2NO6
Source: Materials Project
Functional: PBE
Structure: optimized geometry

Unit cell a=7.4033 b=7.4033 c=7.3287 alpha=88.95 beta=88.95 gamma=61.57
Atoms (fractional coordinates):
K1 0.7020 0.9926 0.8572
K2 0.0035 0.2991 0.6453
K3 0.9926 0.7020 0.3572
K4 0.2991 0.0035 0.1453
H1 0.5060 0.4432 0.6769
H2 0.4432 0.5060 0.1769
S1 0.2231 0.5762 0.8587
S2 0.4217 0.7806 0.6370
S3 0.5762 0.2231 0.3587
S4 0.7806 0.4217 0.1370
N1 0.4283 0.5748 0.7521
N2 0.5748 0.4283 0.2521
O1 0.8337 0.2820 0.9816
O2 0.3000 0.3593 0.9066
O3 0.3454 0.9459 0.7721
O4 0.0484 0.6545 0.7330
O5 0.6371 0.7050 0.5856
O6 0.7105 0.1808 0.5174
O7 0.2820 0.8337 0.4816
O8 0.3593 0.3000 0.4066
O9 0.9459 0.3454 0.2721
O10 0.6545 0.0484 0.2330
O11 0.7050 0.6371 0.0856
O12 0.1808 0.7105 0.0174

Results
Total magnetic moment = 0.000 μB per atom
Space-group type = No. 9

---

Energies relative to the most stable structure are (1) 5; (2) 34; (3) 0, reported in meV/atom.

---

(1)
Compound: K3H2S2NO7
Source: Materials Project
Functional: PBE
Structure: optimized geometry

Unit cell a=8.2198 b=8.0542 c=6.8187 alpha=103.25 beta=90.89 gamma=97.64
Atoms (fractional coordinates):
K1 0.0554 0.6869 0.7591
K2 0.9446 0.3131 0.2409
K3 0.3444 0.1988 0.0638
K4 0.6556 0.8012 0.9362
K5 0.6739 0.6684 0.4234
K6 0.3261 0.3316 0.5766
H1 0.4548 0.9003 0.6603
H2 0.5452 0.0997 0.3397
H3 0.3165 0.7807 0.5194
H4 0.6835 0.2193 0.4806
S1 0.0621 0.8492 0.2772
S2 0.9379 0.1508 0.7228
S3 0.3067 0.6806 0.1460
S4 0.6933 0.3194 0.8540
N1 0.1272 0.7512 0.1227
N2 0.8728 0.2488 0.8773
O1 0.1858 0.0409 0.3377
O2 0.8142 0.9591 0.6623
O3 0.8929 0.8864 0.2093
O4 0.1071 0.1136 0.7907
O5 0.0423 0.7047 0.4114
O6 0.9577 0.2953 0.5886
O7 0.4575 0.8546 0.1978
O8 0.5425 0.1454 0.8022
O9 0.3063 0.5211 0.2680
O10 0.6937 0.4789 0.7320
O11 0.3179 0.6001 0.9803
O12 0.6821 0.3999 0.0197
O13 0.4015 0.7639 0.6114
O14 0.5985 0.2361 0.3886

Results
Total magnetic moment = 0.000 μB per atom
Space-group type = No. 2

---

(2)
Compound: K3H2S2NO7
Source: Materials Project
Functional: PBE
Structure: optimized geometry

Unit cell a=6.8187 b=8.0542 c=8.2198 alpha=97.64 beta=90.89 gamma=103.25
Atoms (fractional coordinates):
K1 0.3131 0.9446 0.2409
K2 0.6869 0.0554 0.7591
K3 0.8012 0.6556 0.9362
K4 0.1988 0.3444 0.0638
K5 0.3316 0.3261 0.5766
K6 0.6684 0.6739 0.4234
H1 0.0997 0.5452 0.3397
H2 0.9003 0.4548 0.6603
H3 0.2193 0.6835 0.4806
H4 0.7807 0.3165 0.5194
S1 0.1508 0.9379 0.7228
S2 0.8492 0.0621 0.2772
S3 0.3194 0.6933 0.8540
S4 0.6806 0.3067 0.1460
N1 0.2488 0.8728 0.8773
N2 0.7512 0.1272 0.1227
O1 0.9591 0.8142 0.6623
O2 0.0409 0.1858 0.3377
O3 0.1136 0.1071 0.7907
O4 0.8864 0.8929 0.2093
O5 0.2953 0.9577 0.5886
O6 0.7047 0.0423 0.4114
O7 0.1454 0.5425 0.8022
O8 0.8546 0.4575 0.1978
O9 0.4789 0.6937 0.7320
O10 0.5211 0.3063 0.2680
O11 0.3999 0.6821 0.0197
O12 0.6001 0.3179 0.9803
O13 0.2361 0.5985 0.3886
O14 0.7639 0.4015 0.6114

Results
Total magnetic moment = 0.000 μB per atom
Space-group type = No. 2

---

Energies relative to the most stable structure are (1) 758; (2) 0, reported in meV/atom.